Here is crystalline Li3VP2O8 at its relaxed geometry from the Materials Project database. Energies are from PBE with a Hubbard U.

Calculated values
For the energy of formation from the pure elements, the calculation gives -2.705 eV/atom. As for the relative energy among the computed polymorphs: 4.0 meV per atom. As for the space group: No. 14.

Cell lengths 4.922, 17.953, 7.900 Å; angles 90.00, 125.66, 90.00 degrees
Fractional positions:
Li 0.025 0.052 0.288
Li 0.025 0.448 0.788
Li 0.284 0.620 0.002
Li 0.284 0.880 0.502
Li 0.380 0.198 0.689
Li 0.380 0.302 0.189
Li 0.620 0.698 0.811
Li 0.620 0.802 0.311
Li 0.716 0.120 0.498
Li 0.716 0.380 0.998
Li 0.975 0.552 0.212
Li 0.975 0.948 0.712
V 0.186 0.127 0.985
V 0.186 0.373 0.485
V 0.814 0.627 0.515
V 0.814 0.873 0.015
P 0.109 0.715 0.287
P 0.109 0.785 0.787
P 0.493 0.036 0.770
P 0.493 0.464 0.270
P 0.507 0.536 0.730
P 0.507 0.964 0.230
P 0.891 0.215 0.213
P 0.891 0.285 0.713
O 0.035 0.673 0.097
O 0.035 0.827 0.597
O 0.143 0.699 0.766
O 0.143 0.801 0.266
O 0.173 0.199 0.184
O 0.173 0.301 0.684
O 0.174 0.566 0.532
O 0.174 0.934 0.032
O 0.189 0.060 0.774
O 0.189 0.440 0.274
O 0.445 0.065 0.575
O 0.445 0.435 0.075
O 0.455 0.690 0.488
O 0.455 0.810 0.988
O 0.492 0.552 0.274
O 0.492 0.948 0.774
O 0.508 0.052 0.226
O 0.508 0.448 0.726
O 0.545 0.190 0.012
O 0.545 0.310 0.512
O 0.555 0.565 0.925
O 0.555 0.935 0.425
O 0.811 0.560 0.726
O 0.811 0.940 0.226
O 0.826 0.066 0.968
O 0.826 0.434 0.468
O 0.827 0.699 0.316
O 0.827 0.801 0.816
O 0.857 0.199 0.734
O 0.857 0.301 0.234
O 0.965 0.173 0.403
O 0.965 0.327 0.903